(1)
! MgBi4Mo2O12, relaxed, DFT GGA+U; values from VASP
&SYSTEM
  ibrav = 0, nat = 19, ntyp = 4
/
ATOMIC_SPECIES
Mg 24.30 Mg.upf
Bi 208.98 Bi.upf
Mo 95.94 Mo.upf
O 16.00 O.upf
CELL_PARAMETERS angstrom
8.6902 -2.8542 0.0000
8.6902 2.8542 0.0000
-0.0164 0.0000 5.5757
ATOMIC_POSITIONS angstrom
Mg 0.0000 0.0000 0.0000
Bi 3.1620 0.0000 0.1138
Bi 5.6884 0.0000 3.0078
Bi 11.6757 0.0000 2.5680
Bi 14.2020 0.0000 5.4619
Mo -0.0082 0.0000 2.7879
Mo 8.6902 0.0000 0.0000
O 4.3878 1.4109 4.1781
O 1.7193 0.0000 2.0106
O 8.0988 1.4949 1.3125
O 9.2653 1.4949 4.2633
O 6.8977 0.0000 4.8980
O 4.3878 -1.4109 4.1781
O 12.9763 1.4109 1.3977
O 10.4663 0.0000 0.6778
O 8.0988 -1.4949 1.3125
O 9.2653 -1.4949 4.2633
O 15.6447 0.0000 3.5652
O 12.9763 -1.4109 1.3977
! Calculated total energy ... -6.238 eV per atom



(2)
! MgBiMoO5, relaxed, DFT GGA+U; values from VASP
&SYSTEM
  ibrav = 0, nat = 32, ntyp = 4
/
ATOMIC_SPECIES
Mg 24.30 Mg.upf
Bi 208.98 Bi.upf
Mo 95.94 Mo.upf
O 16.00 O.upf
CELL_PARAMETERS angstrom
5.4220 0.0000 0.0000
0.0000 11.8508 0.0000
-3.3639 0.0000 7.7296
ATOMIC_POSITIONS angstrom
Mg -0.2523 0.9356 1.3256
Mg -1.9342 4.9898 5.1904
Mg 3.9923 6.8610 2.5393
Mg 2.3104 10.9152 6.4041
Bi -0.4295 1.2282 6.5283
Bi 1.2525 4.6972 2.6635
Bi 0.8056 7.1536 5.0661
Bi 2.4876 10.6226 1.2013
Mo 1.5253 7.5564 0.1938
Mo -0.1566 10.2198 4.0586
Mo 2.2147 1.6310 3.6710
Mo 0.5328 4.2944 7.5358
O 0.3232 6.7781 1.3263
O -1.3588 10.9981 5.1911
O -0.5471 8.3720 3.6978
O -2.2291 9.4042 7.5626
O 1.3476 0.3268 0.0981
O -0.3343 5.5986 3.9629
O -1.2642 6.7102 6.3774
O 0.4177 11.0659 2.5126
O 0.7505 2.1837 2.6302
O -0.9315 3.7417 6.4950
O 2.9896 8.1091 1.2346
O 1.3076 9.6671 5.0994
O 1.6404 0.7849 5.2170
O 3.3223 5.1405 1.3522
O 2.3924 6.2522 3.7667
O 0.7105 11.5240 7.6315
O 4.2871 2.4466 0.1670
O 2.6052 3.4788 4.0318
O 3.4168 0.8527 2.5385
O 1.7349 5.0727 6.4033
! Relative energy among the computed polymorphs ... 0.0000 eV/atom